A relaxed structure of TaPRu, computed with meta-GGA r2SCAN.

Unit cell a=3.715 b=6.305 c=7.163 alpha=90.00 beta=90.00 gamma=90.00
Sites, in units of the cell vectors:
P (0.250, 0.268, 0.875)
P (0.750, 0.732, 0.125)
P (0.250, 0.768, 0.625)
P (0.750, 0.232, 0.375)
Ru (0.250, 0.145, 0.564)
Ru (0.750, 0.855, 0.436)
Ru (0.250, 0.645, 0.936)
Ru (0.750, 0.355, 0.064)
Ta (0.250, 0.024, 0.172)
Ta (0.750, 0.476, 0.672)
Ta (0.750, 0.976, 0.828)
Ta (0.250, 0.524, 0.328)

The magnetization comes out at 0.000 μB per atom. Its formation energy is -237 kJ/mol of formula units. The space group is Pnma, No. 62. Its total energy is -28.491 eV/atom.